1.
## SmCu2 (PBE-GGA)

Data for a geometry-optimized SmCu2 structure.

a b c (Å): 5.550 5.550 5.550
angles (deg): 133.69 100.97 96.83
Positions (direct):
Sm1 0.288 0.038 0.250
Sm2 0.712 0.962 0.750
Cu1 0.115 0.665 0.450
Cu2 0.284 0.335 0.950
Cu3 0.716 0.665 0.050
Cu4 0.885 0.335 0.550

Values from the calculation:
SG: No. 74
VASP energy in eV for the cell shown: -27.22
Crystal system: orthorhombic

---

2.
## SmCu6 (PBE-GGA)

Data for a geometry-optimized SmCu6 structure.

a b c (Å): 8.058 5.030 10.104
angles (deg): 90.00 90.00 90.00
Positions (direct):
Sm1 0.240 0.250 0.064
Sm2 0.260 0.750 0.564
Sm3 0.740 0.250 0.436
Sm4 0.760 0.750 0.936
Cu1 0.062 0.750 0.096
Cu2 0.065 0.006 0.309
Cu3 0.065 0.494 0.309
Cu4 0.099 0.250 0.517
Cu5 0.146 0.750 0.858
Cu6 0.184 0.250 0.756
Cu7 0.316 0.750 0.256
Cu8 0.354 0.250 0.358
Cu9 0.401 0.750 0.017
Cu10 0.435 0.506 0.809
Cu11 0.435 0.994 0.809
Cu12 0.438 0.250 0.596
Cu13 0.562 0.750 0.404
Cu14 0.565 0.006 0.191
Cu15 0.565 0.494 0.191
Cu16 0.599 0.250 0.983
Cu17 0.646 0.750 0.642
Cu18 0.684 0.250 0.744
Cu19 0.816 0.750 0.244
Cu20 0.854 0.250 0.142
Cu21 0.901 0.750 0.483
Cu22 0.935 0.506 0.691
Cu23 0.935 0.994 0.691
Cu24 0.938 0.250 0.904

Values from the calculation:
SG: No. 62
VASP energy in eV for the cell shown: -121.30
Crystal system: orthorhombic

---

3.
## SmCu (PBE-GGA)

Data for a geometry-optimized SmCu structure.

a b c (Å): 3.543 3.543 3.543
angles (deg): 90.00 90.00 90.00
Positions (direct):
Sm1 0.000 0.000 0.000
Cu1 0.500 0.500 0.500

Values from the calculation:
SG: No. 221
VASP energy in eV for the cell shown: -9.18
Crystal system: cubic

---

4.
## SmCu (PBE-GGA)

Data for a geometry-optimized SmCu structure.

a b c (Å): 7.224 4.517 5.474
angles (deg): 90.00 90.00 90.00
Positions (direct):
Sm1 0.180 0.250 0.130
Sm2 0.320 0.750 0.630
Sm3 0.680 0.250 0.370
Sm4 0.820 0.750 0.870
Cu1 0.033 0.250 0.620
Cu2 0.467 0.750 0.120
Cu3 0.533 0.250 0.880
Cu4 0.967 0.750 0.380

Values from the calculation:
SG: No. 62
VASP energy in eV for the cell shown: -36.94
Crystal system: orthorhombic

---

5.
## SmCu5 (PBE-GGA)

Data for a geometry-optimized SmCu5 structure.

a b c (Å): 5.080 5.080 4.093
angles (deg): 90.00 90.00 120.00
Positions (direct):
Sm1 0.000 0.000 0.000
Cu1 0.000 0.500 0.500
Cu2 0.333 0.667 0.000
Cu3 0.500 0.000 0.500
Cu4 0.500 0.500 0.500
Cu5 0.667 0.333 0.000

Values from the calculation:
SG: No. 191
VASP energy in eV for the cell shown: -26.26
Crystal system: hexagonal

---

6.
## Sm3Cu4Sn4 (PBE-GGA)

Data for a geometry-optimized Sm3Cu4Sn4 structure.

a b c (Å): 8.487 8.487 8.487
angles (deg): 149.08 131.74 58.42
Positions (direct):
Sm1 0.000 0.000 0.000
Sm2 0.368 0.868 0.500
Sm3 0.632 0.132 0.500
Cu1 0.018 0.331 0.687
Cu2 0.357 0.669 0.687
Cu3 0.643 0.331 0.313
Cu4 0.982 0.669 0.313
Sn1 0.216 0.216 0.000
Sn2 0.298 0.500 0.798
Sn3 0.702 0.500 0.202
Sn4 0.784 0.784 0.000

Values from the calculation:
SG: No. 71
VASP energy in eV for the cell shown: -52.38
Crystal system: orthorhombic

---

7.
## Sm2Cu4Sn5 (PBE-GGA)

Data for a geometry-optimized Sm2Cu4Sn5 structure.

a b c (Å): 12.901 12.901 12.901
angles (deg): 160.25 160.25 28.07
Positions (direct):
Sm1 0.000 0.000 0.000
Sm2 0.320 0.320 0.000
Cu1 0.408 0.908 0.500
Cu2 0.772 0.772 0.000
Cu3 0.866 0.866 0.000
Cu4 0.908 0.408 0.500
Sn1 0.097 0.597 0.500
Sn2 0.213 0.713 0.500
Sn3 0.467 0.467 0.000
Sn4 0.597 0.097 0.500
Sn5 0.713 0.213 0.500

Values from the calculation:
Total magnetization in μB per atom: 0.000
SG: No. 107
VASP energy in eV for the cell shown: -48.57
Crystal system: tetragonal

---

8.
## SmCu2Sn2 (PBE-GGA)

Data for a geometry-optimized SmCu2Sn2 structure.

a b c (Å): 4.463 4.463 10.533
angles (deg): 90.00 90.00 90.00
Positions (direct):
Sm1 0.250 0.250 0.238
Sm2 0.750 0.750 0.762
Cu1 0.250 0.250 0.634
Cu2 0.250 0.750 0.000
Cu3 0.750 0.250 0.000
Cu4 0.750 0.750 0.366
Sn1 0.250 0.250 0.872
Sn2 0.250 0.750 0.500
Sn3 0.750 0.250 0.500
Sn4 0.750 0.750 0.128

Values from the calculation:
SG: No. 129
VASP energy in eV for the cell shown: -45.77
Crystal system: tetragonal

---

9.
## Sm2Cu3Sn3 (PBE-GGA)

Data for a geometry-optimized Sm2Cu3Sn3 structure.

a b c (Å): 2.874 3.212 22.430
angles (deg): 89.74 89.83 89.95
Positions (direct):
Sm1 0.000 0.000 0.245
Sm2 0.000 0.000 0.755
Cu1 0.000 0.000 0.118
Cu2 0.000 0.000 0.500
Cu3 0.000 0.000 0.882
Sn1 0.000 0.000 0.000
Sn2 0.000 0.000 0.387
Sn3 0.000 0.000 0.613

Values from the calculation:
Total magnetization in μB per atom: 0.000
SG: No. 2
VASP energy in eV for the cell shown: -29.00
Crystal system: triclinic

---

10.
## SmCu3Te3 (PBE-GGA)

Data for a geometry-optimized SmCu3Te3 structure.

a b c (Å): 8.329 8.329 8.329
angles (deg): 53.64 53.64 53.64
Positions (direct):
Sm1 0.166 0.166 0.166
Sm2 0.834 0.834 0.834
Cu1 0.032 0.375 0.723
Cu2 0.277 0.968 0.625
Cu3 0.375 0.723 0.032
Cu4 0.625 0.277 0.968
Cu5 0.723 0.032 0.375
Cu6 0.968 0.625 0.277
Te1 0.091 0.739 0.416
Te2 0.261 0.584 0.909
Te3 0.416 0.091 0.739
Te4 0.584 0.909 0.261
Te5 0.739 0.416 0.091
Te6 0.909 0.261 0.584

Values from the calculation:
Total magnetization in μB per atom: 0.000
SG: No. 148
VASP energy in eV for the cell shown: -60.10
Crystal system: trigonal

---

11.
## Sm2CuTe4 (PBE-GGA)

Data for a geometry-optimized Sm2CuTe4 structure.

a b c (Å): 6.504 8.279 7.631
angles (deg): 90.00 90.10 90.00
Positions (direct):
Sm1 0.000 0.000 0.227
Sm2 0.000 0.500 0.773
Sm3 0.493 0.389 0.237
Sm4 0.507 0.889 0.763
Cu1 0.186 0.147 0.588
Cu2 0.814 0.647 0.412
Te1 0.018 0.359 0.382
Te2 0.249 0.195 0.921
Te3 0.254 0.696 0.070
Te4 0.480 0.037 0.384
Te5 0.520 0.537 0.616
Te6 0.746 0.196 0.930
Te7 0.751 0.695 0.079
Te8 0.982 0.859 0.618

Values from the calculation:
Total magnetization in μB per atom: 0.000
SG: No. 4
VASP energy in eV for the cell shown: -66.55
Crystal system: monoclinic

---

12.
## Cu3Sn (PBE-GGA)

Data for a geometry-optimized Cu3Sn structure.

a b c (Å): 4.360 4.360 4.360
angles (deg): 60.00 60.00 60.00
Positions (direct):
Cu1 0.000 0.000 0.000
Cu2 0.250 0.250 0.250
Cu3 0.750 0.750 0.750
Sn1 0.500 0.500 0.500

Values from the calculation:
Total magnetization in μB per atom: 0.000
SG: No. 225
VASP energy in eV for the cell shown: -16.06
Crystal system: cubic